1.
Material: Ca9Si6O32
Method: DFT, GGA-PBE
State: relaxed

Structure (POSCAR):
```
Ca9Si6O32
1.0
7.396 0.000 0.000
-2.086 9.918 0.000
-3.652 -2.727 9.679
Ca Si O
9 6 32
Direct
0.000 0.000 0.000 Ca
0.136 0.647 0.937 Ca
0.189 0.668 0.573 Ca
0.280 0.354 0.417 Ca
0.351 0.370 0.049 Ca
0.649 0.630 0.951 Ca
0.720 0.646 0.583 Ca
0.811 0.332 0.427 Ca
0.864 0.353 0.063 Ca
0.164 0.369 0.713 Si
0.267 0.641 0.287 Si
0.425 0.176 0.780 Si
0.575 0.824 0.220 Si
0.733 0.359 0.713 Si
0.836 0.631 0.287 Si
0.039 0.679 0.721 O
0.051 0.220 0.006 O
0.057 0.067 0.269 O
0.078 0.684 0.317 O
0.169 0.432 0.583 O
0.195 0.529 0.138 O
0.205 0.076 0.378 O
0.228 0.221 0.696 O
0.300 0.474 0.865 O
0.315 0.927 0.606 O
0.341 0.991 0.736 O
0.355 0.142 0.154 O
0.382 0.591 0.423 O
0.408 0.791 0.286 O
0.451 0.252 0.262 O
0.494 0.772 0.056 O
0.506 0.228 0.944 O
0.549 0.748 0.738 O
0.592 0.209 0.714 O
0.618 0.409 0.577 O
0.645 0.858 0.846 O
0.659 0.009 0.264 O
0.685 0.073 0.394 O
0.700 0.526 0.135 O
0.772 0.779 0.304 O
0.795 0.924 0.622 O
0.805 0.471 0.862 O
0.831 0.568 0.417 O
0.922 0.316 0.683 O
0.943 0.933 0.731 O
0.949 0.780 0.994 O
0.961 0.321 0.279 O
```

Values from the calculation:
* density: 2435 kg/m3
* SG: No. 2
* energy of formation from the pure elements: -105.3 eV/f.u.


2.
Material: Ca2SiO6
Method: DFT, GGA-PBE
State: relaxed

Structure (POSCAR):
```
Ca2SiO6
1.0
5.699 0.000 0.000
-0.971 8.383 0.000
-0.232 -0.059 10.865
Ca Si O
8 4 24
Direct
0.204 0.185 0.113 Ca
0.241 0.520 0.373 Ca
0.261 0.479 0.870 Ca
0.281 0.819 0.617 Ca
0.719 0.181 0.383 Ca
0.739 0.521 0.130 Ca
0.759 0.480 0.627 Ca
0.796 0.815 0.887 Ca
0.223 0.245 0.564 Si
0.299 0.757 0.070 Si
0.701 0.243 0.930 Si
0.777 0.755 0.436 Si
0.000 0.330 0.512 O
0.000 0.670 0.488 O
0.036 0.654 0.757 O
0.036 0.676 0.024 O
0.160 0.913 0.807 O
0.203 0.054 0.521 O
0.258 0.286 0.712 O
0.307 0.717 0.219 O
0.309 0.948 0.031 O
0.329 0.081 0.312 O
0.461 0.342 0.261 O
0.469 0.329 0.501 O
0.495 0.329 0.998 O
0.505 0.671 0.002 O
0.531 0.671 0.499 O
0.539 0.658 0.739 O
0.671 0.919 0.688 O
0.691 0.052 0.969 O
0.693 0.283 0.781 O
0.742 0.714 0.288 O
0.797 0.946 0.479 O
0.840 0.087 0.193 O
0.964 0.324 0.976 O
0.964 0.346 0.243 O
```

Values from the calculation:
* density: 2613 kg/m3
* SG: No. 2
* energy of formation from the pure elements: -21.1 eV/f.u.


3.
Material: CaSiSnO5
Method: DFT, GGA-PBE
State: relaxed

Structure (POSCAR):
```
CaSiSnO5
1.0
5.633 0.000 0.000
-1.561 5.424 0.000
-1.728 -2.324 6.662
Ca Si Sn O
2 2 2 10
Direct
0.161 0.337 0.254 Ca
0.839 0.663 0.746 Ca
0.183 0.319 0.751 Si
0.817 0.681 0.249 Si
0.500 0.000 0.000 Sn
0.500 0.000 0.500 Sn
0.106 0.742 0.413 O
0.177 0.103 0.871 O
0.240 0.608 0.911 O
0.399 0.324 0.630 O
0.411 0.090 0.251 O
0.589 0.910 0.749 O
0.601 0.676 0.370 O
0.760 0.392 0.089 O
0.823 0.897 0.129 O
0.894 0.258 0.587 O
```

Values from the calculation:
* density: 4354 kg/m3
* relative energy among the computed polymorphs: 0.2 meV/atom
* SG: No. 2
* energy of formation from the pure elements: -23.5 eV/f.u.


4.
Material: CaSi4SnO10
Method: DFT, GGA-PBE
State: relaxed

Structure (POSCAR):
```
CaSi4SnO10
1.0
7.560 0.000 0.000
0.000 7.560 0.000
0.000 0.000 15.978
Ca Si Sn O
4 16 4 40
Direct
0.250 0.750 0.000 Ca
0.250 0.750 0.500 Ca
0.750 0.250 0.000 Ca
0.750 0.250 0.500 Ca
0.003 0.591 0.153 Si
0.003 0.909 0.653 Si
0.091 0.503 0.347 Si
0.091 0.997 0.847 Si
0.409 0.503 0.847 Si
0.409 0.997 0.347 Si
0.497 0.591 0.653 Si
0.497 0.909 0.153 Si
0.503 0.091 0.847 Si
0.503 0.409 0.347 Si
0.591 0.003 0.653 Si
0.591 0.497 0.153 Si
0.909 0.003 0.153 Si
0.909 0.497 0.653 Si
0.997 0.091 0.347 Si
0.997 0.409 0.847 Si
0.250 0.250 0.040 Sn
0.250 0.250 0.540 Sn
0.750 0.750 0.460 Sn
0.750 0.750 0.960 Sn
0.006 0.194 0.865 O
0.006 0.306 0.365 O
0.019 0.647 0.414 O
0.019 0.853 0.914 O
0.056 0.556 0.250 O
0.056 0.944 0.750 O
0.147 0.519 0.086 O
0.147 0.981 0.586 O
0.194 0.006 0.365 O
0.194 0.494 0.865 O
0.306 0.006 0.865 O
0.306 0.494 0.365 O
0.353 0.519 0.586 O
0.353 0.981 0.086 O
0.444 0.556 0.750 O
0.444 0.944 0.250 O
0.481 0.647 0.914 O
0.481 0.853 0.414 O
0.494 0.194 0.365 O
0.494 0.306 0.865 O
0.506 0.694 0.135 O
0.506 0.806 0.635 O
0.519 0.147 0.586 O
0.519 0.353 0.086 O
0.556 0.056 0.750 O
0.556 0.444 0.250 O
0.647 0.019 0.914 O
0.647 0.481 0.414 O
0.694 0.506 0.635 O
0.694 0.994 0.135 O
0.806 0.506 0.135 O
0.806 0.994 0.635 O
0.853 0.019 0.414 O
0.853 0.481 0.914 O
0.944 0.056 0.250 O
0.944 0.444 0.750 O
0.981 0.147 0.086 O
0.981 0.353 0.586 O
0.994 0.694 0.635 O
0.994 0.806 0.135 O
```

Values from the calculation:
* density: 3135 kg/m3
* SG: No. 130
* energy of formation from the pure elements: -49.1 eV/f.u.


5.
Material: CaSiSnO5
Method: DFT, GGA-PBE
State: relaxed

Structure (POSCAR):
```
CaSiSnO5
1.0
3.398 -4.498 0.000
3.398 4.498 0.000
-2.912 0.000 6.658
Ca Si Sn O
2 2 2 10
Direct
0.163 0.837 0.750 Ca
0.837 0.163 0.250 Ca
0.181 0.819 0.250 Si
0.819 0.181 0.750 Si
0.500 0.500 0.000 Sn
0.500 0.500 0.500 Sn
0.109 0.240 0.911 O
0.177 0.605 0.372 O
0.240 0.109 0.411 O
0.395 0.823 0.128 O
0.411 0.589 0.750 O
0.589 0.411 0.250 O
0.605 0.177 0.872 O
0.760 0.891 0.589 O
0.823 0.395 0.628 O
0.891 0.760 0.089 O
```

Values from the calculation:
* density: 4355 kg/m3
* relative energy among the computed polymorphs: 0.0 meV/atom
* SG: No. 15
* energy of formation from the pure elements: -23.5 eV/f.u.


6.
Material: Ca3Si4Sn2O14
Method: DFT, GGA-PBE
State: relaxed

Structure (POSCAR):
```
Ca3Si4Sn2O14
1.0
9.060 -3.874 0.000
9.060 3.874 0.000
-6.296 0.000 8.672
Ca Si Sn O
6 8 4 28
Direct
0.185 0.815 0.750 Ca
0.259 0.327 0.537 Ca
0.327 0.259 0.037 Ca
0.673 0.741 0.963 Ca
0.741 0.673 0.463 Ca
0.815 0.185 0.250 Ca
0.007 0.244 0.642 Si
0.038 0.582 0.832 Si
0.244 0.007 0.142 Si
0.418 0.962 0.668 Si
0.582 0.038 0.332 Si
0.756 0.993 0.858 Si
0.962 0.418 0.168 Si
0.993 0.756 0.358 Si
0.269 0.731 0.250 Sn
0.500 0.500 0.000 Sn
0.500 0.500 0.500 Sn
0.731 0.269 0.750 Sn
0.012 0.418 0.812 O
0.020 0.566 0.667 O
0.037 0.084 0.676 O
0.084 0.037 0.176 O
0.147 0.204 0.095 O
0.191 0.647 0.490 O
0.204 0.147 0.595 O
0.243 0.533 0.971 O
0.353 0.809 0.010 O
0.418 0.012 0.312 O
0.430 0.435 0.774 O
0.434 0.980 0.833 O
0.435 0.430 0.274 O
0.467 0.757 0.529 O
0.533 0.243 0.471 O
0.565 0.570 0.726 O
0.566 0.020 0.167 O
0.570 0.565 0.226 O
0.582 0.988 0.688 O
0.647 0.191 0.990 O
0.757 0.467 0.029 O
0.796 0.853 0.405 O
0.809 0.353 0.510 O
0.853 0.796 0.905 O
0.916 0.963 0.824 O
0.963 0.916 0.324 O
0.980 0.434 0.333 O
0.988 0.582 0.188 O
```

Values from the calculation:
* density: 3786 kg/m3
* relative energy among the computed polymorphs: 36.2 meV/atom
* SG: No. 15
* energy of formation from the pure elements: -68.7 eV/f.u.